No. 1
Material: MgMnB2O5
Method: DFT, GGA+U
State: optimized geometry

Lattice parameters (Å, degrees): 6.255 6.465 10.021 108.43 104.30 88.20
Fractional coordinates of all 36 atoms:
B  0.878  0.418  0.165
B  0.321  0.670  0.654
B  0.321  0.170  0.654
B  0.679  0.830  0.346
B  0.122  0.082  0.835
B  0.122  0.582  0.835
B  0.679  0.330  0.346
B  0.878  0.918  0.165
O  0.858  0.378  0.295
O  0.858  0.878  0.295
O  0.090  0.977  0.175
O  0.910  0.023  0.825
O  0.282  0.133  0.509
O  0.718  0.367  0.491
O  0.696  0.394  0.052
O  0.304  0.606  0.948
O  0.478  0.756  0.249
O  0.522  0.244  0.751
O  0.910  0.523  0.825
O  0.522  0.744  0.751
O  0.304  0.106  0.948
O  0.718  0.867  0.491
O  0.090  0.477  0.175
O  0.478  0.256  0.249
O  0.142  0.622  0.705
O  0.696  0.894  0.052
O  0.282  0.633  0.509
O  0.142  0.122  0.705
Mn  0.784  0.690  0.638
Mn  0.216  0.309  0.363
Mn  0.784  0.191  0.637
Mn  0.216  0.809  0.362
Mg  0.369  0.933  0.099
Mg  0.631  0.067  0.901
Mg  0.369  0.433  0.099
Mg  0.631  0.567  0.901

Results
Size of the total moment ... 0.00 μB/cell
MP2020-corrected energy ... -8.20 eV per atom

No. 2
Material: Mo2AsH18C6NO12
Method: DFT, GGA+U
State: optimized geometry

Lattice parameters (Å, degrees): 14.389 10.539 12.896 90.00 113.37 90.00
Fractional coordinates of all 160 atoms:
Mo  0.110  0.033  0.291
Mo  0.110  0.467  0.791
Mo  0.343  0.634  0.968
Mo  0.343  0.866  0.468
Mo  0.657  0.134  0.532
Mo  0.657  0.366  0.032
Mo  0.890  0.533  0.209
Mo  0.890  0.967  0.709
As  0.134  0.633  0.032
As  0.134  0.867  0.532
As  0.866  0.133  0.468
As  0.866  0.367  0.968
H  0.008  0.702  0.428
H  0.008  0.798  0.928
H  0.031  0.213  0.474
H  0.031  0.287  0.974
H  0.066  0.667  0.577
H  0.066  0.833  0.077
H  0.121  0.000  0.686
H  0.121  0.500  0.186
H  0.188  0.116  0.943
H  0.188  0.384  0.443
H  0.204  0.013  0.061
H  0.204  0.487  0.561
H  0.219  0.618  0.243
H  0.219  0.882  0.743
H  0.241  0.023  0.676
H  0.241  0.477  0.176
H  0.242  0.539  0.453
H  0.242  0.961  0.953
H  0.287  0.216  0.576
H  0.287  0.284  0.076
H  0.301  0.179  0.193
H  0.301  0.321  0.693
H  0.330  0.211  0.924
H  0.330  0.289  0.424
H  0.372  0.530  0.701
H  0.372  0.970  0.201
H  0.382  0.055  0.928
H  0.382  0.445  0.428
H  0.410  0.247  0.180
H  0.410  0.253  0.680
H  0.411  0.583  0.593
H  0.411  0.917  0.093
H  0.457  0.178  0.021
H  0.457  0.322  0.521
H  0.482  0.039  0.190
H  0.482  0.461  0.690
H  0.518  0.539  0.310
H  0.518  0.961  0.810
H  0.543  0.678  0.479
H  0.543  0.822  0.979
H  0.589  0.083  0.907
H  0.589  0.417  0.407
H  0.590  0.747  0.320
H  0.590  0.753  0.820
H  0.618  0.555  0.572
H  0.618  0.945  0.072
H  0.628  0.030  0.799
H  0.628  0.470  0.299
H  0.670  0.711  0.576
H  0.670  0.789  0.076
H  0.699  0.679  0.307
H  0.699  0.821  0.807
H  0.713  0.716  0.924
H  0.713  0.784  0.424
H  0.758  0.039  0.047
H  0.758  0.461  0.547
H  0.759  0.523  0.824
H  0.759  0.977  0.324
H  0.781  0.118  0.257
H  0.781  0.382  0.757
H  0.796  0.513  0.439
H  0.796  0.987  0.939
H  0.812  0.616  0.557
H  0.812  0.884  0.057
H  0.879  0.000  0.314
H  0.879  0.500  0.814
H  0.934  0.167  0.923
H  0.934  0.333  0.423
H  0.969  0.713  0.026
H  0.969  0.787  0.526
H  0.992  0.202  0.072
H  0.992  0.298  0.572
C  0.032  0.741  0.514
C  0.032  0.759  0.014
C  0.184  0.547  0.176
C  0.184  0.953  0.676
C  0.236  0.043  0.001
C  0.236  0.457  0.501
C  0.334  0.210  0.133
C  0.334  0.290  0.633
C  0.381  0.138  0.978
C  0.381  0.362  0.478
C  0.406  0.501  0.643
C  0.406  0.999  0.143
C  0.594  0.001  0.857
C  0.594  0.499  0.357
C  0.619  0.638  0.522
C  0.619  0.862  0.022
C  0.666  0.710  0.367
C  0.666  0.790  0.867
C  0.764  0.543  0.499
C  0.764  0.957  0.999
C  0.816  0.047  0.324
C  0.816  0.453  0.824
C  0.968  0.241  0.986
C  0.968  0.259  0.486
N  0.340  0.098  0.064
N  0.340  0.402  0.564
N  0.660  0.598  0.436
N  0.660  0.902  0.936
O  0.011  0.509  0.308
O  0.011  0.991  0.808
O  0.081  0.518  0.929
O  0.081  0.982  0.429
O  0.108  0.209  0.342
O  0.108  0.291  0.842
O  0.148  0.200  0.253
O  0.148  0.300  0.753
O  0.182  0.635  0.796
O  0.182  0.865  0.296
O  0.190  0.543  0.715
O  0.190  0.957  0.215
O  0.233  0.710  0.012
O  0.233  0.790  0.512
O  0.277  0.041  0.453
O  0.277  0.459  0.953
O  0.352  0.696  0.408
O  0.352  0.804  0.908
O  0.359  0.035  0.413
O  0.359  0.465  0.913
O  0.404  0.705  0.869
O  0.404  0.795  0.369
O  0.437  0.634  0.101
O  0.437  0.866  0.601
O  0.563  0.134  0.399
O  0.563  0.366  0.899
O  0.596  0.205  0.631
O  0.596  0.295  0.131
O  0.641  0.535  0.087
O  0.641  0.965  0.587
O  0.648  0.196  0.092
O  0.648  0.304  0.592
O  0.723  0.541  0.047
O  0.723  0.959  0.547
O  0.767  0.210  0.488
O  0.767  0.290  0.988
O  0.810  0.043  0.785
O  0.810  0.457  0.285
O  0.818  0.135  0.704
O  0.818  0.365  0.204
O  0.852  0.700  0.247
O  0.852  0.800  0.747
O  0.892  0.709  0.158
O  0.892  0.791  0.658
O  0.919  0.018  0.571
O  0.919  0.482  0.071
O  0.989  0.009  0.192
O  0.989  0.491  0.692

Results
Size of the total moment ... 0.00 μB/cell
Symmetry ... P2_1/c (14)
Crystal system ... monoclinic
MP2020-corrected energy ... -5.73 eV per atom

No. 3
Material: Ca9CoP7O28
Method: DFT, GGA+U
State: optimized geometry

Lattice parameters (Å, degrees): 13.818 13.818 13.818 44.50 44.50 44.50
Fractional coordinates of all 90 atoms:
Ca  0.055  0.465  0.480
Ca  0.253  0.809  0.835
Ca  0.309  0.753  0.335
Ca  0.335  0.309  0.753
Ca  0.353  0.373  0.951
Ca  0.373  0.951  0.353
Ca  0.451  0.873  0.853
Ca  0.465  0.480  0.055
Ca  0.480  0.055  0.465
Ca  0.555  0.980  0.965
Ca  0.753  0.335  0.309
Ca  0.809  0.835  0.253
Ca  0.835  0.253  0.809
Ca  0.853  0.451  0.873
Ca  0.873  0.853  0.451
Ca  0.951  0.353  0.373
Ca  0.965  0.555  0.980
Ca  0.980  0.965  0.555
Co  0.401  0.401  0.401
Co  0.901  0.901  0.901
P  0.085  0.589  0.121
P  0.089  0.585  0.621
P  0.121  0.085  0.589
P  0.172  0.172  0.172
P  0.179  0.721  0.212
P  0.212  0.179  0.721
P  0.221  0.679  0.712
P  0.585  0.621  0.089
P  0.589  0.121  0.085
P  0.621  0.089  0.585
P  0.672  0.672  0.672
P  0.679  0.712  0.221
P  0.712  0.221  0.679
P  0.721  0.212  0.179
O  0.008  0.289  0.183
O  0.013  0.768  0.033
O  0.015  0.576  0.582
O  0.019  0.734  0.286
O  0.033  0.013  0.768
O  0.037  0.753  0.567
O  0.039  0.259  0.771
O  0.041  0.777  0.783
O  0.049  0.490  0.794
O  0.067  0.253  0.537
O  0.076  0.515  0.082
O  0.082  0.076  0.515
O  0.163  0.803  0.261
O  0.183  0.008  0.289
O  0.214  0.214  0.214
O  0.234  0.519  0.786
O  0.253  0.537  0.067
O  0.259  0.771  0.039
O  0.261  0.163  0.803
O  0.268  0.513  0.533
O  0.271  0.759  0.539
O  0.277  0.541  0.283
O  0.283  0.277  0.541
O  0.286  0.019  0.734
O  0.289  0.183  0.008
O  0.294  0.990  0.549
O  0.303  0.663  0.761
O  0.490  0.794  0.049
O  0.508  0.683  0.789
O  0.513  0.533  0.268
O  0.515  0.082  0.076
O  0.519  0.786  0.234
O  0.533  0.268  0.513
O  0.537  0.067  0.253
O  0.539  0.271  0.759
O  0.541  0.283  0.277
O  0.549  0.294  0.990
O  0.567  0.037  0.753
O  0.576  0.582  0.015
O  0.582  0.015  0.576
O  0.663  0.761  0.303
O  0.683  0.789  0.508
O  0.714  0.714  0.714
O  0.734  0.286  0.019
O  0.753  0.567  0.037
O  0.759  0.539  0.271
O  0.761  0.303  0.663
O  0.768  0.033  0.013
O  0.771  0.039  0.259
O  0.777  0.783  0.041
O  0.783  0.041  0.777
O  0.786  0.234  0.519
O  0.789  0.508  0.683
O  0.794  0.049  0.490
O  0.803  0.261  0.163
O  0.990  0.549  0.294

Results
Size of the total moment ... 0.00 μB/cell
Symmetry ... R3c (161)
Crystal system ... trigonal
MP2020-corrected energy ... -7.64 eV per atom

No. 4
Material: AlReW2O8
Method: DFT, GGA+U
State: optimized geometry

Lattice parameters (Å, degrees): 5.033 5.646 6.029 115.65 109.73 90.77
Fractional coordinates of all 12 atoms:
Al  0.000  0.000  0.000
Re  0.455  0.544  0.964
W  0.212  0.731  0.474
W  0.694  0.365  0.457
O  0.125  0.506  0.653
O  0.159  0.009  0.758
O  0.226  0.807  0.170
O  0.265  0.339  0.245
O  0.645  0.306  0.733
O  0.653  0.757  0.688
O  0.765  0.076  0.187
O  0.789  0.587  0.275

Results
Excess energy over the best structure of this formula in the dataset ... 119 meV per atom
Size of the total moment ... 6.00 μB/cell
Symmetry ... P1 (1)
Crystal system ... triclinic
MP2020-corrected energy ... -8.75 eV per atom

No. 5
Material: Li3V2F8
Method: DFT, GGA+U
State: optimized geometry

Lattice parameters (Å, degrees): 6.124 5.444 9.495 90.00 94.23 90.00
Fractional coordinates of all 26 atoms:
Li  0.000  0.000  0.000
Li  0.000  0.500  0.500
Li  0.375  0.021  0.776
Li  0.375  0.479  0.276
Li  0.625  0.521  0.724
Li  0.625  0.979  0.224
V  0.126  0.511  0.872
V  0.126  0.989  0.372
V  0.874  0.011  0.628
V  0.874  0.489  0.128
F  0.043  0.681  0.683
F  0.043  0.819  0.183
F  0.166  0.153  0.568
F  0.166  0.347  0.068
F  0.261  0.661  0.425
F  0.261  0.839  0.925
F  0.399  0.138  0.309
F  0.399  0.362  0.809
F  0.601  0.638  0.191
F  0.601  0.862  0.691
F  0.739  0.161  0.075
F  0.739  0.339  0.575
F  0.834  0.653  0.932
F  0.834  0.847  0.432
F  0.957  0.181  0.817
F  0.957  0.319  0.317

Results
Size of the total moment ... 10.00 μB/cell
Symmetry ... P2_1/c (14)
Crystal system ... monoclinic
MP2020-corrected energy ... -6.11 eV per atom

No. 6
Material: LiCoPO4
Method: DFT, GGA+U
State: optimized geometry

Lattice parameters (Å, degrees): 4.785 9.629 6.993 90.00 92.79 90.00
Fractional coordinates of all 28 atoms:
Li  0.220  0.000  0.277
Li  0.279  0.090  0.737
Li  0.721  0.590  0.263
Li  0.780  0.500  0.723
Co  0.218  0.346  0.429
Co  0.259  0.793  0.947
Co  0.741  0.293  0.053
Co  0.782  0.846  0.571
P  0.218  0.680  0.509
P  0.298  0.474  0.012
P  0.702  0.974  0.988
P  0.782  0.180  0.491
O  0.026  0.963  0.997
O  0.085  0.549  0.414
O  0.086  0.694  0.710
O  0.117  0.814  0.401
O  0.400  0.624  0.066
O  0.425  0.384  0.187
O  0.431  0.418  0.833
O  0.457  0.168  0.482
O  0.543  0.668  0.518
O  0.569  0.918  0.167
O  0.575  0.884  0.813
O  0.600  0.124  0.934
O  0.883  0.314  0.599
O  0.914  0.194  0.290
O  0.915  0.049  0.586
O  0.974  0.463  0.003

Results
Excess energy over the best structure of this formula in the dataset ... 86 meV per atom
Size of the total moment ... 12.00 μB/cell
Symmetry ... P2_1 (4)
Crystal system ... monoclinic
MP2020-corrected energy ... -7.21 eV per atom

No. 7
Material: Li5VF8
Method: DFT, GGA+U
State: optimized geometry

Lattice parameters (Å, degrees): 5.989 5.989 5.989 122.23 120.70 87.48
Fractional coordinates of all 14 atoms:
Li  0.000  0.000  0.000
Li  0.000  0.000  0.500
Li  0.000  0.500  0.000
Li  0.500  0.000  0.000
Li  0.500  0.500  0.500
V  0.500  0.000  0.500
F  0.229  0.229  0.000
F  0.262  0.229  0.491
F  0.262  0.771  0.032
F  0.266  0.766  0.500
F  0.734  0.234  0.500
F  0.738  0.229  0.968
F  0.738  0.771  0.509
F  0.771  0.771  0.000

Results
Excess energy over the best structure of this formula in the dataset ... 9 meV per atom
Size of the total moment ... 2.00 μB/cell
Symmetry ... Immm (71)
Crystal system ... orthorhombic
MP2020-corrected energy ... -5.57 eV per atom

No. 8
Material: LiFe8O8F8
Method: DFT, GGA+U
State: optimized geometry

Lattice parameters (Å, degrees): 3.086 9.528 9.675 90.02 90.20 90.08
Fractional coordinates of all 25 atoms:
Li  0.000  0.000  0.000
Fe  0.428  0.539  0.258
Fe  0.428  0.542  0.759
Fe  0.441  0.005  0.245
Fe  0.447  0.017  0.770
Fe  0.922  0.746  0.009
Fe  0.923  0.259  0.009
Fe  0.932  0.745  0.508
Fe  0.935  0.268  0.506
O  0.424  0.158  0.095
O  0.425  0.656  0.098
O  0.432  0.668  0.601
O  0.447  0.879  0.920
O  0.930  0.615  0.850
O  0.930  0.618  0.352
O  0.939  0.910  0.170
O  0.943  0.124  0.848
F  0.427  0.369  0.914
F  0.432  0.369  0.397
F  0.436  0.873  0.420
F  0.437  0.156  0.603
F  0.926  0.411  0.160
F  0.929  0.416  0.664
F  0.937  0.113  0.352
F  0.941  0.919  0.658

Results
Excess energy over the best structure of this formula in the dataset ... 9 meV per atom
Size of the total moment ... 39.00 μB/cell
Symmetry ... P1 (1)
Crystal system ... triclinic
MP2020-corrected energy ... -7.03 eV per atom